Record 1
Compound: NaCo2HSe2O7
Source: the Materials Project
Functional: meta-GGA r2SCAN
Structure: relaxed

Summary:
* ΔH_f (0 K): -1.13 eV/atom
* E: -9.122 eV per atom

Lattice parameters (Å, degrees): 13.165 5.976 8.168 90.00 90.00 90.00
Space group Pnma (No. 62)
Symmetry-distinct sites (fractional):
Na 0.249 0.250 0.124 (multiplicity 4)
Co 0.000 0.000 0.000 (multiplicity 4)
Co 0.110 0.750 0.285 (multiplicity 4)
H 0.165 0.750 0.976 (multiplicity 4)
Se 0.026 0.250 0.385 (multiplicity 4)
Se 0.173 0.250 0.772 (multiplicity 4)
O 0.011 0.026 0.254 (multiplicity 8)
O 0.091 0.750 0.523 (multiplicity 4)
O 0.105 0.750 0.044 (multiplicity 4)
O 0.107 0.250 0.958 (multiplicity 4)
O 0.243 0.538 0.307 (multiplicity 8)

Record 2
Compound: Yb3Co
Source: the Materials Project
Functional: meta-GGA r2SCAN
Structure: relaxed

Summary:
* ΔH_f (0 K): -0.15 eV/atom
* E: -30.855 eV per atom

Lattice parameters (Å, degrees): 6.778 9.118 6.109 90.00 90.00 90.00
Space group Pnma (No. 62)
Symmetry-distinct sites (fractional):
Yb 0.045 0.250 0.137 (multiplicity 4)
Yb 0.174 0.067 0.679 (multiplicity 8)
Co 0.110 0.750 0.463 (multiplicity 4)

Record 3
Compound: Ba6Zn7F26
Source: the Materials Project
Functional: meta-GGA r2SCAN
Structure: relaxed

Summary:
* ΔH_f (0 K): -3.30 eV/atom
* E: -11.063 eV per atom

Lattice parameters (Å, degrees): 19.390 5.926 12.311 90.00 128.60 90.00
Space group C2/m (No. 12)
Symmetry-distinct sites (fractional):
Ba 0.142 0.000 0.403 (multiplicity 4)
Ba 0.145 0.500 0.152 (multiplicity 4)
Ba 0.157 0.000 0.897 (multiplicity 4)
Zn 0.000 0.000 0.000 (multiplicity 2)
Zn 0.000 0.243 0.500 (multiplicity 4)
Zn 0.014 0.500 0.778 (multiplicity 4)
Zn 0.222 0.500 0.712 (multiplicity 4)
F 0.011 0.232 0.675 (multiplicity 8)
F 0.019 0.250 0.907 (multiplicity 8)
F 0.089 0.500 0.581 (multiplicity 4)
F 0.093 0.000 0.581 (multiplicity 4)
F 0.113 0.500 0.332 (multiplicity 4)
F 0.128 0.000 0.158 (multiplicity 4)
F 0.143 0.500 0.917 (multiplicity 4)
F 0.243 0.263 0.619 (multiplicity 8)
F 0.246 0.270 0.851 (multiplicity 8)

Record 4
Compound: YP
Source: the Materials Project
Functional: meta-GGA r2SCAN
Structure: relaxed

Summary:
* ΔH_f (0 K): -1.86 eV/atom
* E: -16.515 eV per atom

Lattice parameters (Å, degrees): 5.681 5.681 5.681 90.00 90.00 90.00
Space group Fm-3m (No. 225)
Symmetry-distinct sites (fractional):
Y 0.000 0.000 0.000 (multiplicity 4)
P 0.000 0.000 0.500 (multiplicity 4)

Record 5
Compound: LuNi2
Source: the Materials Project
Functional: meta-GGA r2SCAN
Structure: relaxed

Summary:
* ΔH_f (0 K): -0.49 eV/atom
* E: -21.176 eV per atom

Lattice parameters (Å, degrees): 6.986 6.986 6.986 90.00 90.00 90.00
Space group Fd-3m (No. 227, origin choice 2)
Symmetry-distinct sites (fractional):
Lu 0.125 0.125 0.125 (multiplicity 8)
Ni 0.000 0.000 0.500 (multiplicity 16)

Record 6
Compound: YSc
Source: the Materials Project
Functional: meta-GGA r2SCAN
Structure: relaxed

Summary:
* ΔH_f (0 K): 0.10 eV/atom
* E: -15.760 eV per atom

Lattice parameters (Å, degrees): 3.5202 3.5202 5.4041 90.00 90.00 120.00
Space group P-6m2 (No. 187)
Symmetry-distinct sites (fractional):
Y 0.0000 0.0000 0.0000 (multiplicity 1)
Sc 0.3333 0.6667 0.5000 (multiplicity 1)

Record 7
Compound: ZrSeS
Source: the Materials Project
Functional: meta-GGA r2SCAN
Structure: relaxed

Summary:
* ΔH_f (0 K): -1.68 eV/atom
* E: -16.711 eV per atom

Lattice parameters (Å, degrees): 3.7500 3.7500 6.2348 90.00 90.00 120.00
Space group P3m1 (No. 156)
Symmetry-distinct sites (fractional):
Zr 0.0000 0.0000 0.0000 (multiplicity 1)
Se 0.6667 0.3333 0.7409 (multiplicity 1)
S 0.3333 0.6667 0.2216 (multiplicity 1)

Record 8
Compound: Er2CuOs
Source: the Materials Project
Functional: meta-GGA r2SCAN
Structure: relaxed

Summary:
* ΔH_f (0 K): -0.36 eV/atom
* E: -33.277 eV per atom

Lattice parameters (Å, degrees): 6.747 6.747 6.747 90.00 90.00 90.00
Space group Fm-3m (No. 225)
Symmetry-distinct sites (fractional):
Er 0.250 0.250 0.250 (multiplicity 8)
Cu 0.000 0.000 0.000 (multiplicity 4)
Os 0.000 0.000 0.500 (multiplicity 4)

Record 9
Compound: MgCu2
Source: the Materials Project
Functional: meta-GGA r2SCAN
Structure: relaxed

Summary:
* ΔH_f (0 K): -0.12 eV/atom
* E: -8.745 eV per atom

Lattice parameters (Å, degrees): 6.962 6.962 6.962 90.00 90.00 90.00
Space group Fd-3m (No. 227, origin choice 2)
Symmetry-distinct sites (fractional):
Mg 0.125 0.125 0.125 (multiplicity 8)
Cu 0.000 0.000 0.500 (multiplicity 16)

Record 10
Compound: SiO2
Source: the Materials Project
Functional: meta-GGA r2SCAN
Structure: relaxed

Summary:
* ΔH_f (0 K): -3.02 eV/atom
* E: -9.928 eV per atom

Lattice parameters (Å, degrees): 9.731 25.730 8.359 90.00 90.00 90.00
Space group Cmcm (No. 63)
Symmetry-distinct sites (fractional):
Si 0.000 0.059 0.058 (multiplicity 8)
Si 0.000 0.224 0.067 (multiplicity 8)
Si 0.000 0.336 0.564 (multiplicity 8)
Si 0.206 0.142 0.562 (multiplicity 16)
O 0.000 0.000 0.000 (multiplicity 4)
O 0.000 0.062 0.250 (multiplicity 4)
O 0.000 0.243 0.250 (multiplicity 4)
O 0.000 0.274 0.548 (multiplicity 8)
O 0.000 0.352 0.750 (multiplicity 4)
O 0.133 0.361 0.022 (multiplicity 16)
O 0.136 0.087 0.509 (multiplicity 16)
O 0.136 0.189 0.035 (multiplicity 16)
O 0.182 0.151 0.750 (multiplicity 8)

Record 11
Compound: PrZnGa
Source: the Materials Project
Functional: meta-GGA r2SCAN
Structure: relaxed

Summary:
* ΔH_f (0 K): -0.61 eV/atom
* E: -17.192 eV per atom

Lattice parameters (Å, degrees): 4.4586 4.4586 7.8108 90.00 90.00 120.00
Space group P6_3/mmc (No. 194)
Symmetry-distinct sites (fractional):
Pr 0.0000 0.0000 0.0000 (multiplicity 2)
Zn 0.3333 0.6667 0.2500 (multiplicity 2)
Ga 0.3333 0.6667 0.7500 (multiplicity 2)

Record 12
Compound: RhPb
Source: the Materials Project
Functional: meta-GGA r2SCAN
Structure: relaxed

Summary:
* ΔH_f (0 K): -0.14 eV/atom
* E: -40.347 eV per atom

Lattice parameters (Å, degrees): 5.7149 5.7149 4.4648 90.00 90.00 120.00
Space group P6/mmm (No. 191)
Symmetry-distinct sites (fractional):
Rh 0.0000 0.5000 0.0000 (multiplicity 3)
Pb 0.0000 0.0000 0.0000 (multiplicity 1)
Pb 0.3333 0.6667 0.5000 (multiplicity 2)

- What is the formula in the third record?
  Ba6Zn7F26

- The highest E belongs to which entry?
  MgCu2